# KPrNb2O6

Crystalline KPrNb2O6 at its relaxed geometry (GGA-PBE, the Materials Project).

As for the symmetry: No. 225. The calculation puts the volume at 13.48 A^3/atom. The energy relative to the elements is -2976 meV/atom.

abc: 5.755 5.755 5.755
angles: 60.00 60.00 60.00
Atoms (fractional coordinates):
K 0.000 0.000 0.000
Pr 0.500 0.500 0.500
Nb 0.250 0.250 0.250
Nb 0.750 0.750 0.750
O 0.000 0.000 0.500
O 0.000 0.500 0.000
O 0.000 0.500 0.500
O 0.500 0.000 0.000
O 0.500 0.000 0.500
O 0.500 0.500 0.000